Crystalline H21OsC9NO7 at its relaxed geometry. Source: the Materials Project database, functional GGA-PBE.

```
H21OsC9NO7
1.0
-3.824 11.590 3.695
-8.852 -2.237 -2.143
-9.080 -6.194 10.031
H Os C N O
84 4 36 4 28
direct
0.716 0.770 0.920
0.784 0.770 0.420
0.284 0.230 0.080
0.216 0.230 0.580
0.642 0.925 0.929
0.858 0.925 0.429
0.358 0.075 0.071
0.142 0.075 0.571
0.577 0.745 0.941
0.923 0.745 0.441
0.423 0.255 0.059
0.077 0.255 0.559
0.815 0.437 0.572
0.685 0.437 0.072
0.185 0.563 0.428
0.315 0.563 0.928
0.906 0.285 0.579
0.594 0.285 0.079
0.094 0.715 0.421
0.406 0.715 0.921
0.846 0.433 0.456
0.654 0.433 0.956
0.154 0.567 0.544
0.346 0.567 0.044
0.582 0.180 0.259
0.918 0.180 0.759
0.418 0.820 0.741
0.082 0.820 0.241
0.693 0.184 0.333
0.807 0.184 0.833
0.307 0.816 0.667
0.193 0.816 0.167
0.639 0.990 0.361
0.861 0.990 0.861
0.361 0.010 0.639
0.139 0.010 0.139
0.552 0.417 0.418
0.948 0.417 0.918
0.448 0.583 0.582
0.052 0.583 0.082
0.553 0.616 0.409
0.947 0.616 0.909
0.447 0.384 0.591
0.053 0.384 0.091
0.660 0.562 0.355
0.840 0.562 0.855
0.340 0.438 0.645
0.160 0.438 0.145
0.382 0.484 0.337
0.118 0.484 0.837
0.618 0.516 0.663
0.882 0.516 0.163
0.362 0.676 0.212
0.138 0.676 0.712
0.638 0.324 0.788
0.862 0.324 0.288
0.384 0.685 0.327
0.116 0.685 0.827
0.616 0.315 0.673
0.884 0.315 0.173
0.632 0.821 0.187
0.868 0.821 0.687
0.368 0.179 0.813
0.132 0.179 0.313
0.526 0.870 0.248
0.974 0.870 0.748
0.474 0.130 0.752
0.026 0.130 0.252
0.504 0.868 0.130
0.996 0.868 0.630
0.496 0.132 0.870
0.004 0.132 0.370
0.632 0.554 0.199
0.868 0.554 0.699
0.368 0.446 0.801
0.132 0.446 0.301
0.515 0.428 0.238
0.985 0.428 0.738
0.485 0.572 0.762
0.015 0.572 0.262
0.514 0.636 0.125
0.986 0.636 0.625
0.486 0.364 0.875
0.014 0.364 0.375
0.606 0.997 0.575
0.894 0.997 0.075
0.394 0.003 0.425
0.106 0.003 0.925
0.642 0.855 0.736
0.858 0.855 0.236
0.358 0.145 0.264
0.142 0.145 0.764
0.748 0.128 0.541
0.752 0.128 0.041
0.252 0.872 0.459
0.248 0.872 0.959
0.641 0.836 0.902
0.859 0.836 0.402
0.359 0.164 0.098
0.141 0.164 0.598
0.834 0.356 0.541
0.666 0.356 0.041
0.166 0.644 0.459
0.334 0.644 0.959
0.619 0.119 0.337
0.881 0.119 0.837
0.381 0.881 0.663
0.119 0.881 0.163
0.575 0.548 0.370
0.925 0.548 0.870
0.425 0.452 0.630
0.075 0.452 0.130
0.402 0.617 0.288
0.098 0.617 0.788
0.598 0.383 0.712
0.902 0.383 0.212
0.548 0.811 0.204
0.952 0.811 0.704
0.452 0.189 0.796
0.048 0.189 0.296
0.547 0.554 0.203
0.953 0.554 0.703
0.453 0.446 0.797
0.047 0.446 0.297
0.518 0.630 0.267
0.982 0.630 0.767
0.482 0.370 0.733
0.018 0.370 0.233
0.539 0.150 0.587
0.961 0.150 0.087
0.461 0.850 0.413
0.039 0.850 0.913
0.662 0.841 0.559
0.838 0.841 0.059
0.338 0.159 0.441
0.162 0.159 0.941
0.550 0.122 0.411
0.950 0.122 0.911
0.450 0.878 0.589
0.050 0.878 0.089
0.622 0.934 0.790
0.878 0.934 0.290
0.378 0.066 0.210
0.122 0.066 0.710
0.673 0.709 0.783
0.827 0.709 0.283
0.327 0.291 0.217
0.173 0.291 0.717
0.826 0.113 0.498
0.674 0.113 0.998
0.174 0.887 0.502
0.326 0.887 0.002
0.745 0.247 0.569
0.755 0.247 0.069
0.255 0.753 0.431
0.245 0.753 0.931
```

Properties
- crystal system = monoclinic
- DFT formation energy (eV per atom) = -0.50
- symmetry = P2_1/c (14)
- total DFT energy (no corrections) (eV per atom) = -5.72

=====

Crystalline RbPH6C2N4O4 at its relaxed geometry. Source: the Materials Project database, functional GGA-PBE.

```
RbPH6C2N4O4
1.0
0.000 -5.338 -5.824
0.000 -5.338 5.824
-6.472 5.338 0.000
Rb P H C N O
2 2 12 4 8 8
direct
0.263 0.737 0.500
0.013 0.987 0.000
0.586 0.414 0.500
0.336 0.664 0.000
0.094 0.112 0.474
0.888 0.906 0.526
0.870 0.388 0.026
0.612 0.130 0.974
0.174 0.372 0.601
0.628 0.826 0.399
0.823 0.521 0.899
0.479 0.177 0.101
0.312 0.419 0.086
0.581 0.688 0.914
0.476 0.082 0.414
0.918 0.524 0.586
0.203 0.249 0.780
0.751 0.797 0.220
0.673 0.219 0.720
0.781 0.327 0.280
0.177 0.246 0.608
0.754 0.823 0.392
0.818 0.388 0.892
0.612 0.182 0.108
0.279 0.430 0.959
0.570 0.721 0.041
0.570 0.221 0.541
0.779 0.430 0.459
0.163 0.088 0.777
0.912 0.837 0.223
0.635 0.061 0.723
0.939 0.365 0.277
0.651 0.606 0.696
0.394 0.349 0.304
0.205 0.660 0.804
0.340 0.795 0.196
```

Properties
- crystal system = orthorhombic
- DFT formation energy (eV per atom) = -1.06
- symmetry = Fdd2 (43)
- total DFT energy (no corrections) (eV per atom) = -6.37

=====

Crystalline Ti2P4H9C2NO16 at its relaxed geometry. Source: the Materials Project database, functional GGA-PBE.

```
Ti2P4H9C2NO16
1.0
6.453 0.000 0.000
0.000 10.914 0.000
0.000 5.784 20.231
Ti P H C N O
8 16 36 8 4 64
direct
0.538 0.307 0.301
0.962 0.307 0.801
0.462 0.693 0.699
0.038 0.693 0.199
0.040 0.294 0.107
0.460 0.294 0.607
0.960 0.706 0.893
0.540 0.706 0.393
0.684 0.005 0.328
0.816 0.005 0.828
0.316 0.995 0.672
0.184 0.995 0.172
0.038 0.360 0.256
0.462 0.360 0.756
0.962 0.640 0.744
0.538 0.640 0.244
0.546 0.336 0.135
0.954 0.336 0.635
0.454 0.664 0.865
0.046 0.664 0.365
0.075 0.625 0.054
0.425 0.625 0.554
0.925 0.375 0.946
0.575 0.375 0.446
0.749 0.933 0.241
0.751 0.933 0.741
0.251 0.067 0.759
0.249 0.067 0.259
0.704 0.519 0.128
0.796 0.519 0.628
0.296 0.481 0.872
0.204 0.481 0.372
0.413 0.582 0.068
0.087 0.582 0.568
0.587 0.418 0.932
0.913 0.418 0.432
0.967 0.925 0.426
0.533 0.925 0.926
0.033 0.075 0.574
0.467 0.075 0.074
0.093 0.801 0.481
0.407 0.801 0.981
0.907 0.199 0.519
0.593 0.199 0.019
0.310 0.986 0.435
0.190 0.986 0.935
0.690 0.014 0.565
0.810 0.014 0.065
0.291 0.944 0.523
0.209 0.944 0.023
0.709 0.056 0.477
0.791 0.056 0.977
0.958 0.848 0.576
0.542 0.848 0.076
0.042 0.152 0.424
0.458 0.152 0.924
0.757 0.821 0.524
0.743 0.821 0.024
0.243 0.179 0.476
0.257 0.179 0.976
0.207 0.982 0.477
0.293 0.982 0.977
0.793 0.018 0.523
0.707 0.018 0.023
0.881 0.886 0.529
0.619 0.886 0.029
0.119 0.114 0.471
0.381 0.114 0.971
0.035 0.892 0.475
0.465 0.892 0.975
0.965 0.108 0.525
0.535 0.108 0.025
0.229 0.313 0.300
0.271 0.313 0.800
0.771 0.687 0.700
0.729 0.687 0.200
0.526 0.305 0.394
0.974 0.305 0.894
0.474 0.695 0.606
0.026 0.695 0.106
0.841 0.315 0.298
0.659 0.315 0.798
0.159 0.685 0.702
0.341 0.685 0.202
0.530 0.293 0.209
0.970 0.293 0.709
0.470 0.707 0.791
0.030 0.707 0.291
0.536 0.493 0.270
0.964 0.493 0.770
0.464 0.507 0.730
0.036 0.507 0.230
0.544 0.121 0.328
0.956 0.121 0.828
0.456 0.879 0.672
0.044 0.879 0.172
0.042 0.301 0.197
0.458 0.301 0.697
0.958 0.699 0.803
0.542 0.699 0.303
0.349 0.314 0.100
0.151 0.314 0.600
0.651 0.686 0.900
0.849 0.686 0.400
0.035 0.303 0.011
0.465 0.303 0.511
0.965 0.697 0.989
0.535 0.697 0.489
0.734 0.278 0.109
0.766 0.278 0.609
0.266 0.722 0.891
0.234 0.722 0.391
0.065 0.116 0.130
0.435 0.116 0.630
0.935 0.884 0.870
0.565 0.884 0.370
0.011 0.485 0.079
0.489 0.485 0.579
0.989 0.515 0.921
0.511 0.515 0.421
0.675 0.001 0.253
0.825 0.001 0.753
0.325 0.999 0.747
0.175 0.999 0.247
0.897 0.009 0.356
0.603 0.009 0.856
0.103 0.991 0.644
0.397 0.991 0.144
0.574 0.490 0.113
0.926 0.490 0.613
0.426 0.510 0.887
0.074 0.510 0.387
0.314 0.639 0.036
0.186 0.639 0.536
0.686 0.361 0.964
0.814 0.361 0.464
```

Properties
- crystal system = monoclinic
- DFT formation energy (eV per atom) = -2.01
- symmetry = P2_1/c (14)
- total DFT energy (no corrections) (eV per atom) = -6.80